Entry 1:
A plane-wave DFT calculation with GGA+U was carried out for a relaxed structure of BaSrMn2O6.

Properties
For the calculated total energy, the calculation gives -137.97 eV per cell. As for the total magnetization: 0.00 μB per formula unit. The energy of formation comes out at -2.48 eV/atom. The space-group type is P6_3/mmc (194). For the energy with MP2020 corrections, the calculation gives -152.886 eV for the cell shown.

abc: 5.6460 9.2762 5.6460
angles: 90.00 120.00 90.00
Last column: nearest neighbours and their distance in Å.
Fractional positions:
O1 0.8149 0.2500 0.6299  2 Mn 1.94
O2 0.6298 0.7500 0.8149  2 Mn 1.94
O3 0.1851 0.7500 0.3702  2 Mn 1.94
O4 0.5000 0.0000 0.5000  2 Mn 1.93
O5 0.0000 0.0000 0.5000  2 Mn 1.93
O6 0.0000 0.5000 0.5000  2 Mn 1.93
O7 0.5000 0.5000 0.0000  2 Mn 1.93
O8 0.3702 0.2500 0.1851  2 Mn 1.94
O9 0.5000 0.0000 0.0000  2 Mn 1.93
O10 0.5000 0.5000 0.5000  2 Mn 1.93
O11 0.1851 0.7500 0.8149  2 Mn 1.94
O12 0.8149 0.2500 0.1851  2 Mn 1.94
Sr1 0.3333 0.2500 0.6666  12 O 2.83
Sr2 0.6667 0.7500 0.3334  12 O 2.83
Mn1 0.3333 0.6116 0.6667  6 O 1.93-1.94
Mn2 0.6667 0.1116 0.3333  6 O 1.93-1.94
Mn3 0.3333 0.8884 0.6667  6 O 1.93-1.94
Mn4 0.6667 0.3884 0.3333  6 O 1.93-1.94
Ba1 0.0000 0.0000 0.0000  12 O 2.82-2.94
Ba2 0.0000 0.5000 0.0000  12 O 2.82-2.94

=====

Entry 2:
A plane-wave DFT calculation with GGA+U was carried out for a relaxed structure of Ba3Sr5Ti7MnO24.

Properties
For the calculated total energy, the calculation gives -314.74 eV per cell. As for the total magnetization: 3.00 μB per formula unit. The energy of formation comes out at -3.39 eV/atom. The space-group type is Cm (8). For the energy with MP2020 corrections, the calculation gives -332.893 eV for the cell shown.

abc: 7.9483 7.9483 7.9459
angles: 89.99 89.99 89.99
Last column: nearest neighbours and their distance in Å.
Fractional positions:
O1 0.5038 0.5038 0.7506  2 Ti 2.02
O2 0.2495 0.5010 0.4917  2 Ti 1.99-2.00
O3 0.9990 0.2493 0.4917  2 Ti 1.99-2.00
O4 0.7507 0.5035 0.0058  2 Ti 1.97-1.98
O5 0.5009 0.2492 0.0084  2 Ti 1.99-2.00
O6 0.9965 0.7506 0.4945  2 Ti 1.97-1.98
O7 0.2492 0.5009 0.0084  2 Ti 1.99-2.00
O8 0.5010 0.2495 0.4917  2 Ti 1.99-2.00
O9 0.2465 0.9991 0.0089  1 Mn 1.97, 1 Ti 2.03
O10 0.7505 0.5034 0.4944  2 Ti 1.97-1.98
O11 0.7506 0.9965 0.4945  2 Ti 1.97-1.98
O12 0.9961 0.5038 0.7510  2 Ti 2.01-2.03
O13 0.9962 0.7531 0.0057  1 Mn 1.96, 1 Ti 1.99
O14 0.9991 0.2465 0.0089  1 Mn 1.97, 1 Ti 2.03
O15 0.5038 0.9961 0.7510  2 Ti 2.01-2.03
O16 0.5035 0.7507 0.0058  2 Ti 1.97-1.98
O17 0.7531 0.9962 0.0057  1 Mn 1.96, 1 Ti 1.99
O18 0.9988 0.5010 0.2494  2 Ti 1.95-1.96
O19 0.9958 0.9958 0.7535  1 Mn 1.98, 1 Ti 2.07
O20 0.5034 0.7505 0.4944  2 Ti 1.97-1.98
O21 0.5011 0.5011 0.2496  2 Ti 1.95-1.96
O22 0.5010 0.9988 0.2494  2 Ti 1.95-1.96
O23 0.2493 0.9990 0.4917  2 Ti 1.99-2.00
O24 0.9990 0.9990 0.2473  1 Mn 1.94, 1 Ti 1.96
Sr1 0.7518 0.7518 0.7517  12 O 2.74-2.84
Sr2 0.2480 0.7519 0.2484  12 O 2.74-2.83
Sr3 0.2481 0.2481 0.2485  12 O 2.75-2.84
Sr4 0.7519 0.7519 0.2483  12 O 2.74-2.82
Sr5 0.7519 0.2480 0.2484  12 O 2.74-2.83
Ba1 0.2484 0.2484 0.7516  12 O 2.84-2.88
Ba2 0.2484 0.7515 0.7516  12 O 2.79-2.88
Ba3 0.7515 0.2484 0.7516  12 O 2.79-2.88
Mn1 0.9992 0.9992 0.0026  6 O 1.94-1.98
Ti1 0.9986 0.5024 0.0040  6 O 1.95-2.03
Ti2 0.5024 0.9986 0.0040  6 O 1.95-2.03
Ti3 0.5014 0.5014 0.0042  6 O 1.95-2.02
Ti4 0.9986 0.5014 0.4959  6 O 1.96-2.03
Ti5 0.9987 0.9987 0.4933  6 O 1.96-2.07
Ti6 0.5014 0.9986 0.4959  6 O 1.96-2.03
Ti7 0.5014 0.5014 0.4960  6 O 1.96-2.02

=====

Entry 3:
A plane-wave DFT calculation with GGA+U was carried out for a relaxed structure of BaSr7Ti5Mn3O24.

Properties
For the calculated total energy, the calculation gives -303.45 eV per cell. As for the total magnetization: 9.18 μB per formula unit. The energy of formation comes out at -3.14 eV/atom. The space-group type is Cm (8). For the energy with MP2020 corrections, the calculation gives -324.939 eV for the cell shown.

abc: 7.8834 7.8834 7.8320
angles: 89.98 89.98 89.99
Last column: nearest neighbours and their distance in Å.
Fractional positions:
O1 0.2508 0.9948 0.0054  2 Mn 1.97-1.99
O2 0.9948 0.2508 0.0054  2 Mn 1.97-1.99
O3 0.5038 0.9962 0.7525  1 Mn 1.94, 1 Ti 1.99
O4 0.9962 0.5038 0.7525  1 Mn 1.94, 1 Ti 1.99
O5 0.7492 0.9990 0.0008  2 Mn 1.95-1.97
O6 0.7502 0.9987 0.4988  2 Ti 1.96
O7 0.9990 0.7492 0.0008  2 Mn 1.95-1.97
O8 0.7503 0.5013 0.4988  2 Ti 1.96
O9 0.2478 0.5039 0.0041  1 Mn 1.96, 1 Ti 2.01
O10 0.9987 0.7502 0.4988  2 Ti 1.96
O11 0.5012 0.7520 0.0011  1 Mn 1.95, 1 Ti 1.97
O12 0.9990 0.9990 0.2480  1 Mn 1.94, 1 Ti 1.96
O13 0.5013 0.5013 0.2489  2 Ti 1.94-1.96
O14 0.5011 0.9989 0.2477  1 Mn 1.93, 1 Ti 1.96
O15 0.5032 0.5032 0.7512  2 Ti 1.96-1.98
O16 0.5013 0.7503 0.4988  2 Ti 1.96
O17 0.5034 0.2497 0.4967  2 Ti 1.98
O18 0.5039 0.2478 0.0041  1 Mn 1.96, 1 Ti 2.01
O19 0.9961 0.9961 0.7521  1 Mn 1.95, 1 Ti 1.99
O20 0.2498 0.9965 0.4967  2 Ti 1.98
O21 0.9965 0.2498 0.4967  2 Ti 1.98
O22 0.2497 0.5034 0.4967  2 Ti 1.98
O23 0.7520 0.5012 0.0011  1 Mn 1.95, 1 Ti 1.97
O24 0.9989 0.5011 0.2477  1 Mn 1.93, 1 Ti 1.96
Mn1 0.9992 0.5013 0.0007  6 O 1.93-1.97
Mn2 0.5013 0.9992 0.0007  6 O 1.93-1.97
Mn3 0.9988 0.9988 0.0005  6 O 1.94-1.99
Sr1 0.7518 0.7518 0.2449  12 O 2.73-2.80
Sr2 0.7517 0.7517 0.7549  12 O 2.72-2.81
Sr3 0.7517 0.2483 0.2452  12 O 2.68-2.82
Sr4 0.2483 0.2483 0.2456  12 O 2.75-2.82
Sr5 0.2483 0.7517 0.2452  12 O 2.68-2.82
Sr6 0.7515 0.2482 0.7549  12 O 2.74-2.83
Sr7 0.2482 0.7515 0.7549  12 O 2.74-2.83
Ti1 0.5022 0.5022 0.0013  6 O 1.94-2.01
Ti2 0.5014 0.5014 0.4987  6 O 1.96-1.98
Ti3 0.9986 0.9986 0.4980  6 O 1.96-1.99
Ti4 0.5013 0.9986 0.4979  6 O 1.96-1.99
Ti5 0.9986 0.5013 0.4979  6 O 1.96-1.99
Ba1 0.2488 0.2488 0.7536  12 O 2.81-2.84

=====

Entry 4:
A plane-wave DFT calculation with GGA+U was carried out for a relaxed structure of Ba3Sr5Ti7MnO20.

Properties
For the calculated total energy, the calculation gives -1108.71 eV per cell. As for the total magnetization: 7.74 μB per formula unit. The energy of formation comes out at -3.19 eV/atom. The space-group type is P1 (1). For the energy with MP2020 corrections, the calculation gives -1170.344 eV for the cell shown.

abc: 11.4185 11.4594 17.9436
angles: 108.72 108.61 89.96
Last column: nearest neighbours and their distance in Å.
Fractional positions:
Sr1 0.9421 0.6923 0.3851  8 O 2.63-2.84
Sr2 0.4397 0.6948 0.3830  8 O 2.65-2.94
Sr3 0.8026 0.0562 0.6055  6 O 2.48-2.69
Sr4 0.3062 0.5613 0.6088  4 O 2.42-2.65
Sr5 0.8004 0.5677 0.6055  6 O 2.46-2.65
Sr6 0.6913 0.4376 0.3845  8 O 2.61-2.89
Sr7 0.6910 0.9422 0.3835  8 O 2.60-2.87
Sr8 0.4402 0.1931 0.3840  9 O 2.59-2.90
Sr9 0.1946 0.4432 0.3870  8 O 2.59-2.87
Sr10 0.9448 0.1961 0.3862  8 O 2.61-2.87
Sr11 0.4453 0.6998 0.8893  6 O 2.45-2.70
Sr12 0.1929 0.4384 0.8883  6 O 2.42-2.68
Sr13 0.3034 0.0601 0.6045  6 O 2.48-2.67
Sr14 0.0565 0.7916 0.6046  6 O 2.49-2.63
Sr15 0.5517 0.2938 0.6078  7 O 2.51-2.71
Sr16 0.4438 0.1988 0.8923  7 O 2.52-2.81
Sr17 0.0534 0.2987 0.6081  4 O 2.38-2.65
Sr18 0.9467 0.2003 0.8924  7 O 2.59-2.87
Sr19 0.5506 0.7951 0.6022  7 O 2.51-2.73
Sr20 0.6954 0.9451 0.8946  8 O 2.58-2.81
Ti1 0.2517 0.2535 0.0057  5 O 2.00-2.03
Ti2 0.4942 0.4957 0.9933  5 O 1.93-2.04
Ti3 0.1253 0.6097 0.2550  4 O 1.89-2.01
Ti4 0.3779 0.3895 0.2562  4 O 1.90-2.02
Ti5 0.2526 0.2535 0.5029  6 O 1.96-2.09
Ti6 0.8571 0.4057 0.7405  4 O 1.82-1.85
Ti7 0.7497 0.7515 0.4963  6 O 2.00-2.22
Ti8 0.2518 0.7499 0.5004  6 O 2.01-2.04
Ti9 0.9983 0.9979 0.4975  5 O 2.00-2.05
Ti10 0.0029 0.4995 0.5021  6 O 2.01-2.07
Ti11 0.3705 0.8905 0.2524  4 O 1.91-1.96
Ti12 0.9988 0.0041 0.0029  6 O 2.00-2.23
Ti13 0.5011 0.9969 0.4965  6 O 1.99-2.20
Ti14 0.4991 0.9987 0.9983  6 O 2.00-2.15
Ti15 0.6194 0.1133 0.2540  4 O 1.87-1.97
Ti16 0.8710 0.3940 0.2553  4 O 1.89-1.98
Ti17 0.6017 0.0893 0.7479  4 O 1.85-1.97
Ti18 0.8470 0.9098 0.7480  4 O 1.91-1.96
Ti19 0.1237 0.1163 0.2545  4 O 1.92-1.97
Ti20 0.2486 0.7465 0.9970  6 O 2.02-2.14
Ti21 0.0028 0.5020 0.0069  5 O 1.97-2.03
Ti22 0.6216 0.6131 0.2544  4 O 1.92-1.94
Ti23 0.7498 0.2488 0.0011  6 O 1.99-2.18
Ti24 0.7497 0.2486 0.4963  5 O 1.95-2.03
Ti25 0.1070 0.0886 0.7445  4 O 1.83-1.89
Ti26 0.8721 0.8925 0.2540  4 O 1.91-1.96
Ti27 0.7462 0.7495 0.9965  6 O 1.99-2.19
Ti28 0.5018 0.4993 0.5014  6 O 1.99-2.06
Ba1 0.5587 0.8090 0.1210  9 O 2.77-2.95
Ba2 0.1921 0.9362 0.8848  8 O 2.67-2.98
Ba3 0.8081 0.0619 0.1237  10 O 2.77-3.07
Ba4 0.0588 0.8104 0.1213  10 O 2.79-3.10
Ba5 0.8055 0.5613 0.1201  9 O 2.77-2.95
Ba6 0.5591 0.3093 0.1228  10 O 2.78-3.11
Ba7 0.0589 0.3109 0.1234  9 O 2.76-2.89
Ba8 0.1887 0.9374 0.3793  9 O 2.71-2.93
Ba9 0.3095 0.0609 0.1221  10 O 2.80-2.96
Ba10 0.9390 0.6994 0.8835  7 O 2.66-2.83
Ba11 0.3103 0.5635 0.1226  9 O 2.78-2.95
Ba12 0.6873 0.4339 0.8801  7 O 2.67-2.85
O1 0.4937 0.0168 0.2603  2 Ti 1.87-1.96
O2 0.5684 0.5895 0.6237  1 Ti 1.99, 1 Mn 2.05
O3 0.6859 0.7029 0.8724  1 Ti 1.99, 1 Mn 2.07
O4 0.8152 0.8092 0.1333  1 Ti 1.95
O5 0.1830 0.6979 0.3734  2 Ti 1.92-2.04
O6 0.0632 0.0743 0.1320  2 Ti 1.97-2.07
O7 0.8736 0.6227 0.4943  2 Ti 2.04-2.05
O8 0.9326 0.9148 0.3732  2 Ti 1.96-2.00
O9 0.1882 0.2083 0.3730  2 Ti 1.93-2.09
O10 0.1237 0.8748 0.0013  2 Ti 2.05-2.06
O11 0.4376 0.4136 0.3734  2 Ti 1.92-2.06
O12 0.1932 0.6928 0.8710  1 Ti 2.02, 1 Mn 2.05
O13 0.8725 0.8794 0.0034  2 Ti 2.02-2.03
O14 0.3788 0.8757 0.5044  2 Ti 2.01-2.04
O15 0.3759 0.1216 0.4933  2 Ti 2.02-2.07
O16 0.6255 0.8762 0.0031  2 Ti 2.00-2.01
O17 0.0621 0.5662 0.1299  2 Ti 1.97-2.01
O18 0.9484 0.0467 0.7469  2 Ti 1.89-1.96
O19 0.6214 0.1220 0.9965  2 Ti 2.00-2.03
O20 0.1216 0.6196 0.9946  2 Ti 2.02-2.03
O21 0.7430 0.9973 0.2602  2 Ti 1.91-1.94
O22 0.6233 0.3725 0.0011  2 Ti 2.02-2.04
O23 0.6327 0.3792 0.5111  2 Ti 2.02-2.04
O24 0.3241 0.2916 0.6243  1 Ti 1.96, 1 Mn 2.08
O25 0.6198 0.6236 0.9951  2 Ti 2.03-2.04
O26 0.4928 0.5139 0.2611  2 Ti 1.90-1.92
O27 0.0766 0.5855 0.6266  1 Ti 2.01, 1 Mn 2.05
O28 0.3815 0.3800 0.5075  2 Ti 1.99-2.03
O29 0.6218 0.6208 0.4890  2 Ti 2.04-2.06
O30 0.2400 0.4909 0.2590  2 Ti 1.89-1.96
O31 0.1228 0.3735 0.9992  2 Ti 2.01-2.02
O32 0.1303 0.3779 0.5065  2 Ti 2.00-2.01
O33 0.6248 0.1230 0.4952  2 Ti 2.02-2.03
O34 0.3265 0.7919 0.6263  1 Mn 2.02, 1 Ti 2.03
O35 0.6800 0.9356 0.7464  2 Ti 1.92-1.97
O36 0.1846 0.1965 0.8527  1 Ti 1.86
O37 0.5730 0.0761 0.6337  1 Ti 1.92
O38 0.6287 0.8777 0.5044  2 Ti 2.00
O39 0.8715 0.1244 0.9975  2 Ti 1.99-2.00
O40 0.8142 0.3112 0.1328  2 Ti 1.98-2.11
O41 0.7406 0.4945 0.2619  2 Ti 1.89-1.93
O42 0.9939 0.0137 0.2598  2 Ti 1.92-1.94
O43 0.0722 0.0968 0.6381  1 Ti 1.86
O44 0.3769 0.8754 0.0019  2 Ti 2.02-2.04
O45 0.8801 0.3807 0.5093  2 Ti 2.02-2.03
O46 0.9334 0.3939 0.8452  1 Ti 1.85
O47 0.8814 0.8802 0.5099  2 Ti 2.01
O48 0.4285 0.5676 0.7481  2 Mn 2.04-2.07
O49 0.8720 0.6209 0.9948  2 Ti 2.03-2.06
O50 0.9335 0.5420 0.7363  1 Ti 1.82
O51 0.8714 0.1201 0.4924  2 Ti 2.02
O52 0.3156 0.8099 0.1308  2 Ti 1.96-2.14
O53 0.4394 0.0755 0.7469  1 Ti 1.85
O54 0.1202 0.1256 0.9949  2 Ti 2.02-2.04
O55 0.1211 0.1251 0.4943  2 Ti 2.04-2.05
O56 0.1876 0.9496 0.7379  1 Ti 1.83
O57 0.4425 0.9226 0.8695  1 Mn 2.03, 1 Ti 2.07
O58 0.5644 0.0717 0.1324  2 Ti 1.96-2.15
O59 0.7014 0.4486 0.7375  1 Ti 1.83
O60 0.6905 0.7107 0.3725  2 Ti 1.94-2.00
O61 0.6886 0.2050 0.3750  2 Ti 1.95-1.97
O62 0.3713 0.6181 0.4888  2 Ti 2.03-2.04
O63 0.8748 0.3729 0.9982  2 Ti 2.01-2.04
O64 0.2481 0.0037 0.2557  2 Ti 1.91-1.92
O65 0.3712 0.1229 0.9939  2 Ti 2.03-2.04
O66 0.1766 0.4194 0.7472  2 Mn 2.03-2.04
O67 0.6845 0.1787 0.8649  1 Ti 1.93
O68 0.9857 0.5185 0.2579  2 Ti 1.92-1.93
O69 0.3740 0.3753 0.0012  2 Ti 2.01
O70 0.1299 0.8783 0.5100  2 Ti 2.03-2.04
O71 0.3129 0.3106 0.1307  2 Ti 2.00-2.02
O72 0.3722 0.6201 0.9952  2 Ti 1.99-2.02
O73 0.8325 0.2837 0.6391  1 Ti 1.84
O74 0.9377 0.4168 0.3734  2 Ti 1.94-2.07
O75 0.4412 0.9203 0.3726  2 Ti 1.96-1.99
O76 0.1223 0.6217 0.4919  2 Ti 2.02-2.05
O77 0.9224 0.9330 0.8639  1 Ti 1.91
O78 0.8134 0.8057 0.6343  1 Ti 1.91
O79 0.5664 0.5747 0.1350  1 Ti 1.93
O80 0.4375 0.4203 0.8734  1 Ti 1.93, 1 Mn 2.10
Mn1 0.3694 0.9025 0.7466  4 O 2.02-2.14
Mn2 0.3544 0.4021 0.7473  4 O 2.04-2.10
Mn3 0.1187 0.5871 0.7467  4 O 2.03-2.11
Mn4 0.6020 0.6067 0.7462  4 O 2.04-2.13